Entry 1:
A geometry-optimized Rb2YInF6 structure, computed with PBE-GGA.

Values from the calculation:
The calculated total energy comes out at -0.194 Ha/atom. As for the space group: No. 225.

Unit cell a=6.8148 b=6.8148 c=6.8148 alpha=60.00 beta=60.00 gamma=60.00
With the nearest neighbours (Å) after each atom.
Fractional positions:
F1 0.7728 0.7728 0.2272  1 Y 2.19
F2 0.2272 0.2272 0.7728  1 Y 2.19
F3 0.7728 0.2272 0.2272  1 Y 2.19
F4 0.2272 0.7728 0.2272  1 Y 2.19
F5 0.7728 0.2272 0.7728  1 Y 2.19
F6 0.2272 0.7728 0.7728  1 Y 2.19
Y1 0.0000 0.0000 0.0000  6 F 2.19
In1 0.5000 0.5000 0.5000  6 F 2.63
Rb1 0.2500 0.2500 0.2500  12 F 3.41
Rb2 0.7500 0.7500 0.7500  12 F 3.41



Entry 2:
A geometry-optimized Sr2InF7 structure, computed with PBE-GGA.

Values from the calculation:
The calculated total energy comes out at -0.195 Ha/atom. As for the space group: No. 14.

Unit cell a=12.4425 b=5.5983 c=8.4123 alpha=89.40 beta=90.00 gamma=90.00
With the nearest neighbours (Å) after each atom.
Fractional positions:
F1 0.9261 0.3729 0.8734  1 In 2.17
F2 0.5739 0.3729 0.3734  1 In 2.17
F3 0.1046 0.0131 0.4116  1 In 2.23
F4 0.7724 0.5083 0.2936  1 In 2.18
F5 0.8606 0.8014 0.0317  1 In 2.13
F6 0.1394 0.1986 0.9683  1 In 2.13
F7 0.6044 0.5086 0.0727  1 In 2.18
F8 0.2724 0.4917 0.2064  1 In 2.18
F9 0.2276 0.4917 0.7064  1 In 2.18
F10 0.7559 0.9884 0.3048  1 In 2.21
F11 0.4261 0.6271 0.6266  1 In 2.17
F12 0.3606 0.1986 0.4683  1 In 2.13
F13 0.7441 0.9884 0.8048  1 In 2.21
F14 0.3956 0.4914 0.9273  1 In 2.18
F15 0.5412 0.1943 0.7118  1 In 2.13
F16 0.7276 0.5083 0.7936  1 In 2.18
F17 0.8956 0.5086 0.5727  1 In 2.18
F18 0.9588 0.1943 0.2118  1 In 2.13
F19 0.2441 0.0116 0.6952  1 In 2.21
F20 0.8954 0.9869 0.5884  1 In 2.23
F21 0.2559 0.0116 0.1952  1 In 2.21
F22 0.6394 0.8014 0.5317  1 In 2.13
F23 0.4588 0.8057 0.2882  1 In 2.13
F24 0.0412 0.8057 0.7882  1 In 2.13
F25 0.6046 0.9869 0.0884  1 In 2.23
F26 0.3954 0.0131 0.9116  1 In 2.23
F27 0.0739 0.6271 0.1266  1 In 2.17
F28 0.1044 0.4914 0.4273  1 In 2.18
In1 0.3745 0.2789 0.7144  7 F 2.13-2.23
In2 0.6255 0.7211 0.2856  7 F 2.13-2.23
In3 0.8745 0.7211 0.7856  7 F 2.13-2.23
In4 0.1255 0.2789 0.2144  7 F 2.13-2.23
Sr1 0.5615 0.7657 0.8232  9 F 2.49-2.71
Sr2 0.7794 0.2332 0.0528  9 F 2.49-2.73
Sr3 0.0615 0.2343 0.6768  9 F 2.49-2.71
Sr4 0.9385 0.7657 0.3232  9 F 2.49-2.71
Sr5 0.2794 0.7668 0.4472  9 F 2.49-2.73
Sr6 0.7206 0.2332 0.5528  9 F 2.49-2.73
Sr7 0.2206 0.7668 0.9472  9 F 2.49-2.73
Sr8 0.4385 0.2343 0.1768  9 F 2.49-2.71



Entry 3:
A geometry-optimized Ir3F structure, computed with PBE-GGA.

Values from the calculation:
The calculated total energy comes out at -0.248 Ha/atom. As for the space group: No. 225.

Unit cell a=4.2764 b=4.2764 c=4.2764 alpha=60.00 beta=60.00 gamma=60.00
With the nearest neighbours (Å) after each atom.
Fractional positions:
Ir1 0.5000 0.5000 0.5000  8 Ir 2.62
Ir2 0.7500 0.7500 0.7500  4 F 2.62, 4 Ir 2.62
Ir3 0.2500 0.2500 0.2500  4 Ir 2.62, 4 F 2.62
F1 0.0000 0.0000 0.0000  8 Ir 2.62



Entry 4:
A geometry-optimized IrF4 structure, computed with PBE-GGA.

Values from the calculation:
The calculated total energy comes out at -0.171 Ha/atom. As for the space group: No. 43.

Unit cell a=5.5978 b=5.5978 c=5.7043 alpha=106.14 beta=106.14 gamma=115.69
With the nearest neighbours (Å) after each atom.
Fractional positions:
F1 0.1938 0.9252 0.6781  1 Ir 1.89
F2 0.7309 0.4626 0.6813  2 Ir 2.01-2.05
F3 0.7813 0.0497 0.3187  2 Ir 2.01-2.05
F4 0.7656 0.9971 0.8219  1 Ir 1.89
F5 0.2471 0.5156 0.3219  1 Ir 1.89
F6 0.2997 0.5313 0.8187  2 Ir 2.01-2.05
F7 0.1752 0.9438 0.1781  1 Ir 1.89
F8 0.7126 0.4809 0.1813  2 Ir 2.01-2.05
Ir1 0.0069 0.5069 0.5000  6 F 1.89-2.05
Ir2 0.7569 0.7569 0.0000  6 F 1.89-2.05



In order of appearance, energy of formation = -3.294; -3.683; 0.235; -1.712 eV per atom.